{"formula": "Na6Mg4Nb8Si9S9O72", "functional": "PBE", "state": "relaxed", "e_form_ev_per_atom": -2.62, "sg": "P1 (1)", "cell": [[8.851, 0.000, 0.000], [4.424, 7.675, 0.000], [0.082, 0.027, 22.944]], "species": ["Na", "Na", "Na", "Na", "Na", "Na", "Mg", "Mg", "Mg", "Mg", "Nb", "Nb", "Nb", "Nb", "Nb", "Nb", "Nb", "Nb", "Si", "Si", "Si", "Si", "Si", "Si", "Si", "Si", "Si", "S", "S", "S", "S", "S", "S", "S", "S", "S", "O", "O", "O", "O", "O", "O", "O", "O", "O", "O", "O", "O", "O", "O", "O", "O", "O", "O", "O", "O", "O", "O", "O", "O", "O", "O", "O", "O", "O", "O", "O", "O", "O", "O", "O", "O", "O", "O", "O", "O", "O", "O", "O", "O", "O", "O", "O", "O", "O", "O", "O", "O", "O", "O", "O", "O", "O", "O", "O", "O", "O", "O", "O", "O", "O", "O", "O", "O", "O", "O", "O", "O"], "frac_coords": [[0.000, 0.000, 0.000], [0.000, 0.009, 0.499], [0.324, 0.342, 0.163], [0.326, 0.343, 0.656], [0.655, 0.678, 0.826], [0.661, 0.675, 0.330], [0.001, 0.009, 0.636], [0.002, 0.999, 0.138], [0.327, 0.341, 0.312], [0.337, 0.338, 0.809], [0.318, 0.353, 0.510], [0.332, 0.344, 0.014], [0.651, 0.695, 0.972], [0.658, 0.662, 0.468], [0.663, 0.666, 0.673], [0.665, 0.684, 0.180], [0.997, 0.998, 0.849], [0.998, 0.008, 0.355], [0.039, 0.623, 0.405], [0.337, 0.057, 0.407], [0.337, 0.620, 0.907], [0.361, 0.676, 0.574], [0.361, 0.970, 0.077], [0.605, 0.342, 0.406], [0.609, 0.061, 0.906], [0.953, 0.680, 0.075], [0.958, 0.374, 0.574], [0.040, 0.342, 0.908], [0.282, 0.716, 0.241], [0.283, 0.012, 0.742], [0.663, 0.964, 0.576], [0.665, 0.385, 0.076], [0.705, 0.015, 0.241], [0.706, 0.294, 0.741], [0.997, 0.716, 0.741], [0.998, 0.293, 0.241], [0.015, 0.191, 0.189], [0.018, 0.821, 0.399], [0.019, 0.802, 0.691], [0.021, 0.182, 0.901], [0.115, 0.371, 0.856], [0.115, 0.515, 0.349], [0.141, 0.498, 0.067], [0.146, 0.366, 0.571], [0.147, 0.320, 0.246], [0.148, 0.309, 0.961], [0.148, 0.542, 0.750], [0.159, 0.547, 0.466], [0.161, 0.031, 0.400], [0.161, 0.824, 0.899], [0.176, 0.990, 0.082], [0.178, 0.032, 0.691], [0.178, 0.841, 0.584], [0.179, 0.800, 0.190], [0.199, 0.982, 0.796], [0.206, 0.826, 0.294], [0.295, 0.175, 0.467], [0.295, 0.541, 0.966], [0.301, 0.166, 0.750], [0.307, 0.540, 0.247], [0.358, 0.516, 0.850], [0.360, 0.154, 0.067], [0.364, 0.491, 0.570], [0.366, 0.129, 0.349], [0.462, 0.850, 0.738], [0.465, 0.698, 0.234], [0.465, 0.844, 0.020], [0.468, 0.701, 0.520], [0.497, 0.646, 0.632], [0.497, 0.860, 0.420], [0.498, 0.130, 0.850], [0.499, 0.866, 0.132], [0.501, 0.372, 0.070], [0.502, 0.135, 0.573], [0.502, 0.378, 0.348], [0.503, 0.649, 0.919], [0.525, 0.175, 0.966], [0.528, 0.161, 0.247], [0.530, 0.305, 0.467], [0.530, 0.319, 0.748], [0.630, 0.497, 0.129], [0.634, 0.876, 0.630], [0.644, 0.503, 0.417], [0.649, 0.858, 0.918], [0.687, 0.466, 0.023], [0.689, 0.845, 0.235], [0.689, 0.856, 0.524], [0.691, 0.475, 0.737], [0.789, 0.031, 0.189], [0.790, 0.190, 0.690], [0.808, 0.171, 0.399], [0.811, 0.034, 0.899], [0.814, 0.977, 0.294], [0.815, 0.213, 0.083], [0.817, 0.214, 0.795], [0.817, 0.979, 0.586], [0.830, 0.486, 0.520], [0.830, 0.691, 0.019], [0.831, 0.475, 0.235], [0.832, 0.706, 0.739], [0.843, 0.662, 0.420], [0.857, 0.641, 0.133], [0.858, 0.510, 0.633], [0.862, 0.492, 0.917], [0.963, 0.196, 0.583], [0.964, 0.850, 0.082], [0.965, 0.216, 0.294], [0.969, 0.830, 0.796]]}



{"formula": "Na12Mg2Nb4Si9O36", "functional": "PBE", "state": "relaxed", "e_form_ev_per_atom": -2.87, "sg": "P3c1 (158)", "cell": [[9.144, 0.000, 0.000], [-4.572, 7.919, 0.000], [0.000, 0.000, 22.418]], "species": ["Na", "Na", "Na", "Na", "Na", "Na", "Na", "Na", "Na", "Na", "Na", "Na", "Na", "Na", "Na", "Na", "Na", "Na", "Na", "Na", "Na", "Na", "Na", "Na", "Mg", "Mg", "Mg", "Mg", "Nb", "Nb", "Nb", "Nb", "Nb", "Nb", "Nb", "Nb", "Si", "Si", "Si", "Si", "Si", "Si", "Si", "Si", "Si", "Si", "Si", "Si", "Si", "Si", "Si", "Si", "Si", "Si", "O", "O", "O", "O", "O", "O", "O", "O", "O", "O", "O", "O", "O", "O", "O", "O", "O", "O", "O", "O", "O", "O", "O", "O", "O", "O", "O", "O", "O", "O", "O", "O", "O", "O", "O", "O", "O", "O", "O", "O", "O", "O", "O", "O", "O", "O", "O", "O", "O", "O", "O", "O", "O", "O", "O", "O", "O", "O", "O", "O", "O", "O", "O", "O", "O", "O", "O", "O", "O", "O", "O", "O"], "frac_coords": [[0.000, 0.000, 0.077], [0.000, 0.000, 0.577], [0.000, 0.359, 0.340], [0.000, 0.641, 0.840], [0.051, 0.349, 0.662], [0.051, 0.701, 0.162], [0.299, 0.349, 0.162], [0.299, 0.949, 0.662], [0.314, 0.026, 0.000], [0.314, 0.288, 0.500], [0.333, 0.667, 0.247], [0.333, 0.667, 0.747], [0.359, 0.000, 0.340], [0.359, 0.359, 0.840], [0.641, 0.000, 0.840], [0.641, 0.641, 0.340], [0.651, 0.701, 0.662], [0.651, 0.949, 0.162], [0.667, 0.333, 0.421], [0.667, 0.333, 0.921], [0.712, 0.026, 0.500], [0.712, 0.686, 0.000], [0.974, 0.288, 0.000], [0.974, 0.686, 0.500], [0.000, 0.000, 0.439], [0.000, 0.000, 0.939], [0.333, 0.667, 0.105], [0.333, 0.667, 0.605], [0.000, 0.000, 0.233], [0.000, 0.000, 0.733], [0.333, 0.667, 0.403], [0.333, 0.667, 0.903], [0.667, 0.333, 0.064], [0.667, 0.333, 0.272], [0.667, 0.333, 0.564], [0.667, 0.333, 0.772], [0.000, 0.292, 0.839], [0.000, 0.709, 0.339], [0.043, 0.373, 0.507], [0.043, 0.670, 0.007], [0.291, 0.000, 0.839], [0.291, 0.292, 0.339], [0.330, 0.373, 0.007], [0.330, 0.957, 0.507], [0.374, 0.041, 0.169], [0.374, 0.333, 0.669], [0.627, 0.670, 0.507], [0.627, 0.957, 0.007], [0.667, 0.041, 0.669], [0.667, 0.626, 0.169], [0.708, 0.000, 0.339], [0.708, 0.709, 0.839], [0.959, 0.333, 0.169], [0.959, 0.626, 0.669], [0.014, 0.186, 0.498], [0.014, 0.828, 0.998], [0.030, 0.198, 0.779], [0.030, 0.832, 0.279], [0.136, 0.500, 0.446], [0.136, 0.635, 0.946], [0.141, 0.497, 0.169], [0.141, 0.644, 0.669], [0.154, 0.459, 0.565], [0.154, 0.696, 0.065], [0.168, 0.198, 0.279], [0.168, 0.970, 0.779], [0.171, 0.481, 0.841], [0.171, 0.691, 0.341], [0.172, 0.186, 0.998], [0.172, 0.986, 0.498], [0.189, 0.033, 0.176], [0.189, 0.156, 0.676], [0.217, 0.043, 0.896], [0.217, 0.174, 0.396], [0.304, 0.459, 0.065], [0.304, 0.846, 0.565], [0.309, 0.481, 0.341], [0.309, 0.829, 0.841], [0.356, 0.497, 0.669], [0.356, 0.859, 0.169], [0.365, 0.500, 0.946], [0.365, 0.864, 0.446], [0.468, 0.169, 0.112], [0.468, 0.299, 0.612], [0.484, 0.164, 0.828], [0.484, 0.320, 0.328], [0.494, 0.144, 0.228], [0.494, 0.350, 0.728], [0.500, 0.635, 0.446], [0.500, 0.864, 0.946], [0.503, 0.644, 0.169], [0.503, 0.859, 0.669], [0.511, 0.145, 0.508], [0.511, 0.366, 0.008], [0.519, 0.691, 0.841], [0.519, 0.829, 0.341], [0.541, 0.696, 0.565], [0.541, 0.846, 0.065], [0.634, 0.145, 0.008], [0.634, 0.489, 0.508], [0.650, 0.144, 0.728], [0.650, 0.506, 0.228], [0.680, 0.164, 0.328], [0.680, 0.516, 0.828], [0.701, 0.169, 0.612], [0.701, 0.532, 0.112], [0.802, 0.832, 0.779], [0.802, 0.970, 0.279], [0.814, 0.828, 0.498], [0.814, 0.986, 0.998], [0.826, 0.043, 0.396], [0.826, 0.783, 0.896], [0.831, 0.299, 0.112], [0.831, 0.532, 0.612], [0.836, 0.320, 0.828], [0.836, 0.516, 0.328], [0.844, 0.033, 0.676], [0.844, 0.811, 0.176], [0.855, 0.366, 0.508], [0.855, 0.489, 0.008], [0.856, 0.350, 0.228], [0.856, 0.506, 0.728], [0.957, 0.174, 0.896], [0.957, 0.783, 0.396], [0.967, 0.156, 0.176], [0.967, 0.811, 0.676]]}



{"formula": "Na7MgNb3Si6O24", "functional": "PBE", "state": "relaxed", "e_form_ev_per_atom": -2.90, "sg": "P3 (143)", "cell": [[9.117, 0.000, 0.000], [-4.559, 7.896, 0.000], [0.000, 0.000, 22.514]], "species": ["Na", "Na", "Na", "Na", "Na", "Na", "Na", "Na", "Na", "Na", "Na", "Na", "Na", "Na", "Na", "Na", "Na", "Na", "Na", "Na", "Na", "Mg", "Mg", "Mg", "Nb", "Nb", "Nb", "Nb", "Nb", "Nb", "Nb", "Nb", "Nb", "Si", "Si", "Si", "Si", "Si", "Si", "Si", "Si", "Si", "Si", "Si", "Si", "Si", "Si", "Si", "Si", "Si", "Si", "O", "O", "O", "O", "O", "O", "O", "O", "O", "O", "O", "O", "O", "O", "O", "O", "O", "O", "O", "O", "O", "O", "O", "O", "O", "O", "O", "O", "O", "O", "O", "O", "O", "O", "O", "O", "O", "O", "O", "O", "O", "O", "O", "O", "O", "O", "O", "O", "O", "O", "O", "O", "O", "O", "O", "O", "O", "O", "O", "O", "O", "O", "O", "O", "O", "O", "O", "O", "O", "O", "O", "O"], "frac_coords": [[0.000, 0.000, 0.077], [0.000, 0.000, 0.587], [0.051, 0.349, 0.162], [0.298, 0.949, 0.162], [0.313, 0.287, 0.000], [0.316, 0.035, 0.501], [0.333, 0.667, 0.248], [0.333, 0.667, 0.754], [0.357, 0.001, 0.842], [0.360, 0.358, 0.341], [0.642, 0.002, 0.341], [0.644, 0.643, 0.842], [0.651, 0.702, 0.162], [0.667, 0.333, 0.424], [0.667, 0.333, 0.921], [0.713, 0.026, 0.000], [0.718, 0.684, 0.501], [0.965, 0.282, 0.501], [0.974, 0.687, 0.000], [0.998, 0.640, 0.341], [0.999, 0.356, 0.842], [0.000, 0.000, 0.442], [0.000, 0.000, 0.940], [0.333, 0.667, 0.107], [0.000, 0.000, 0.235], [0.000, 0.000, 0.734], [0.333, 0.667, 0.402], [0.333, 0.667, 0.612], [0.333, 0.667, 0.905], [0.667, 0.333, 0.065], [0.667, 0.333, 0.274], [0.667, 0.333, 0.570], [0.667, 0.333, 0.773], [0.042, 0.666, 0.507], [0.044, 0.373, 0.009], [0.290, 0.289, 0.840], [0.291, 0.001, 0.341], [0.330, 0.956, 0.009], [0.334, 0.376, 0.507], [0.372, 0.041, 0.672], [0.374, 0.332, 0.172], [0.624, 0.958, 0.507], [0.627, 0.670, 0.009], [0.668, 0.042, 0.172], [0.669, 0.628, 0.672], [0.710, 0.709, 0.341], [0.711, 0.001, 0.840], [0.958, 0.626, 0.172], [0.959, 0.331, 0.672], [0.999, 0.290, 0.341], [0.999, 0.710, 0.840], [0.014, 0.187, 0.001], [0.024, 0.832, 0.503], [0.030, 0.198, 0.282], [0.031, 0.836, 0.783], [0.134, 0.635, 0.446], [0.136, 0.500, 0.949], [0.141, 0.644, 0.172], [0.144, 0.502, 0.666], [0.154, 0.459, 0.068], [0.164, 0.195, 0.783], [0.167, 0.686, 0.562], [0.168, 0.192, 0.503], [0.168, 0.970, 0.282], [0.171, 0.480, 0.343], [0.171, 0.690, 0.844], [0.172, 0.986, 0.001], [0.188, 0.027, 0.678], [0.189, 0.156, 0.179], [0.218, 0.044, 0.399], [0.221, 0.178, 0.899], [0.305, 0.846, 0.068], [0.308, 0.829, 0.343], [0.310, 0.481, 0.844], [0.314, 0.481, 0.562], [0.356, 0.497, 0.172], [0.358, 0.856, 0.666], [0.364, 0.864, 0.949], [0.365, 0.499, 0.446], [0.467, 0.299, 0.114], [0.471, 0.162, 0.613], [0.485, 0.164, 0.331], [0.485, 0.320, 0.830], [0.492, 0.348, 0.230], [0.493, 0.137, 0.729], [0.498, 0.642, 0.666], [0.500, 0.636, 0.949], [0.501, 0.866, 0.446], [0.503, 0.859, 0.172], [0.511, 0.368, 0.510], [0.512, 0.144, 0.011], [0.519, 0.829, 0.844], [0.519, 0.833, 0.562], [0.520, 0.692, 0.343], [0.541, 0.695, 0.068], [0.632, 0.144, 0.510], [0.633, 0.488, 0.011], [0.644, 0.507, 0.729], [0.652, 0.144, 0.230], [0.679, 0.515, 0.331], [0.680, 0.165, 0.830], [0.691, 0.529, 0.613], [0.701, 0.169, 0.114], [0.802, 0.832, 0.282], [0.805, 0.969, 0.783], [0.808, 0.976, 0.503], [0.813, 0.828, 0.001], [0.822, 0.044, 0.899], [0.826, 0.782, 0.399], [0.831, 0.533, 0.114], [0.835, 0.515, 0.830], [0.836, 0.321, 0.331], [0.838, 0.309, 0.613], [0.839, 0.812, 0.678], [0.844, 0.033, 0.179], [0.856, 0.367, 0.011], [0.856, 0.489, 0.510], [0.856, 0.508, 0.230], [0.863, 0.356, 0.729], [0.956, 0.174, 0.399], [0.956, 0.779, 0.899], [0.967, 0.811, 0.179], [0.973, 0.161, 0.678]]}



{"formula": "NaMg3O4", "functional": "PBE", "state": "relaxed", "e_form_ev_per_atom": -2.46, "sg": "Pm-3m (221)", "cell": [[4.354, 0.000, 0.000], [0.000, 4.354, 0.000], [0.000, 0.000, 4.354]], "species": ["Na", "Mg", "Mg", "Mg", "O", "O", "O", "O"], "frac_coords": [[0.000, 0.000, 0.000], [0.000, 0.500, 0.500], [0.500, 0.000, 0.500], [0.500, 0.500, 0.000], [0.000, 0.000, 0.500], [0.000, 0.500, 0.000], [0.500, 0.000, 0.000], [0.500, 0.500, 0.500]]}



{"formula": "Na2Mg5P4O16", "functional": "PBE", "state": "relaxed", "e_form_ev_per_atom": -2.96, "sg": "P-1 (2)", "cell": [[5.223, 0.000, 0.000], [-1.658, 7.842, 0.000], [-0.049, -2.985, 7.655]], "species": ["Na", "Na", "Mg", "Mg", "Mg", "Mg", "Mg", "P", "P", "P", "P", "O", "O", "O", "O", "O", "O", "O", "O", "O", "O", "O", "O", "O", "O", "O", "O"], "frac_coords": [[0.063, 0.038, 0.295], [0.937, 0.962, 0.705], [0.135, 0.408, 0.672], [0.406, 0.745, 0.220], [0.500, 0.000, 0.000], [0.594, 0.255, 0.780], [0.865, 0.592, 0.328], [0.120, 0.302, 0.027], [0.369, 0.787, 0.570], [0.631, 0.213, 0.430], [0.880, 0.698, 0.973], [0.157, 0.492, 0.174], [0.175, 0.814, 0.438], [0.180, 0.783, 0.033], [0.233, 0.631, 0.624], [0.243, 0.170, 0.082], [0.258, 0.327, 0.864], [0.385, 0.248, 0.530], [0.433, 0.970, 0.733], [0.567, 0.030, 0.267], [0.615, 0.752, 0.470], [0.742, 0.673, 0.136], [0.757, 0.830, 0.918], [0.767, 0.369, 0.376], [0.820, 0.217, 0.967], [0.825, 0.186, 0.562], [0.843, 0.508, 0.826]]}